[1]
VASP calculation (r2SCAN) on a relaxed Na8Ti5O14 crystal.

a = 8.3256 Å, b = 8.5085 Å, c = 10.4995 Å
α = 104.13°, β = 102.14°, γ = 112.54°
With the nearest neighbours (Å) after each atom.
Element x y z (fractional)
Na: 0.0000 0.0000 0.0000  6 O 2.30-2.42
Na: 0.0524 0.8228 0.4863  5 O 2.24-2.48
Na: 0.0649 0.6285 0.9351  6 O 2.28-2.41
Na: 0.1247 0.4873 0.3897  6 O 2.34-2.57
Na: 0.1925 0.1234 0.3310  5 O 2.25-2.51
Na: 0.2085 0.9174 0.7947  6 O 2.33-2.50
Na: 0.3177 0.8345 0.3243  4 O 2.26-2.44
Na: 0.3875 0.0218 0.1159  4 O 2.30-2.39
Na: 0.5000 0.5000 0.5000  6 O 2.27-2.42
Na: 0.6125 0.9782 0.8841  4 O 2.30-2.39
Na: 0.6823 0.1655 0.6757  4 O 2.26-2.44
Na: 0.7915 0.0826 0.2053  6 O 2.33-2.50
Na: 0.8075 0.8766 0.6690  5 O 2.25-2.51
Na: 0.8753 0.5127 0.6103  6 O 2.34-2.57
Na: 0.9351 0.3715 0.0649  6 O 2.28-2.41
Na: 0.9476 0.1772 0.5137  5 O 2.24-2.48
Ti: 0.1208 0.2737 0.8449  3 O 1.79-1.92
Ti: 0.2835 0.5741 0.7088  3 O 1.76-1.96
Ti: 0.3114 0.3867 0.1742  3 O 1.80-1.91
Ti: 0.3534 0.2224 0.6497  1 O 1.74
Ti: 0.4648 0.6775 0.0307  4 O 1.82-2.01
Ti: 0.5352 0.3225 0.9693  4 O 1.82-2.01
Ti: 0.6466 0.7776 0.3503  1 O 1.74
Ti: 0.6886 0.6133 0.8258  3 O 1.80-1.91
Ti: 0.7165 0.4259 0.2912  3 O 1.76-1.96
Ti: 0.8792 0.7263 0.1551  3 O 1.79-1.92
O: 0.0604 0.4099 0.7419  2 Ti 1.90-2.01
O: 0.0921 0.2576 0.1889  1 Ti 1.80
O: 0.0986 0.8551 0.1422  1 Ti 1.79
O: 0.1223 0.1006 0.6894  2 Ti 1.92-1.99
O: 0.1773 0.6731 0.6144  1 Ti 1.76
O: 0.2273 0.4905 0.0304  3 Ti 2.01-2.06
O: 0.2523 0.3602 0.5622  2 Ti 1.96-1.97
O: 0.2852 0.2051 0.9841  3 Ti 1.99-2.13
O: 0.3191 0.0478 0.5030  1 Ti 1.74
O: 0.3523 0.7604 0.9082  1 Ti 1.86
O: 0.3933 0.6025 0.3264  2 Ti 1.88-1.98
O: 0.4177 0.4523 0.8552  6 Ti 2.14-2.37
O: 0.4563 0.2992 0.2736  2 Ti 1.91-1.96
O: 0.4803 0.1509 0.8017  1 Ti 1.82
O: 0.5197 0.8491 0.1983  1 Ti 1.82
O: 0.5437 0.7008 0.7264  2 Ti 1.91-1.96
O: 0.5823 0.5477 0.1448  6 Ti 2.14-2.37
O: 0.6067 0.3975 0.6736  2 Ti 1.88-1.98
O: 0.6477 0.2396 0.0918  1 Ti 1.86
O: 0.6809 0.9522 0.4970  1 Ti 1.74
O: 0.7148 0.7949 0.0159  3 Ti 1.99-2.13
O: 0.7477 0.6398 0.4378  2 Ti 1.96-1.97
O: 0.7727 0.5095 0.9696  3 Ti 2.01-2.06
O: 0.8227 0.3269 0.3856  1 Ti 1.76
O: 0.8777 0.8994 0.3106  2 Ti 1.92-1.99
O: 0.9014 0.1449 0.8578  1 Ti 1.79
O: 0.9079 0.7424 0.8111  1 Ti 1.80
O: 0.9396 0.5901 0.2581  2 Ti 1.90-2.01

## Properties
Magnetization   0.00 μB/cell
Formation enthalpy at 0 K   -63.736 kcal/mol of atoms

=====

[2]
VASP calculation (r2SCAN) on a relaxed Y7TmO12 crystal.

a = 9.1620 Å, b = 9.1620 Å, c = 9.1620 Å
α = 109.49°, β = 109.47°, γ = 109.45°
With the nearest neighbours (Å) after each atom.
Element x y z (fractional)
Y: 0.0006 0.4996 0.5013  6 O 2.27-2.29
Y: 0.0017 0.0004 0.0010  6 O 2.27-2.29
Y: 0.0337 0.7837 0.2500  6 O 2.25-2.33
Y: 0.2500 0.4681 0.2181  6 O 2.24-2.34
Y: 0.2500 0.9674 0.7174  6 O 2.24-2.32
Y: 0.4663 0.7163 0.7500  6 O 2.25-2.33
Y: 0.4983 0.4993 0.9987  6 O 2.27-2.29
Y: 0.4994 0.0007 0.4990  6 O 2.27-2.29
Y: 0.5317 0.2817 0.2500  6 O 2.25-2.33
Y: 0.7174 0.2500 0.9674  6 O 2.24-2.33
Y: 0.7500 0.0319 0.2819  6 O 2.24-2.34
Y: 0.7500 0.5326 0.7826  6 O 2.24-2.32
Y: 0.7826 0.7500 0.5326  6 O 2.24-2.33
Y: 0.9683 0.2183 0.7500  6 O 2.25-2.33
Tm: 0.2168 0.2500 0.4668  6 O 2.21-2.31
Tm: 0.2832 0.7500 0.0332  6 O 2.21-2.31
O: 0.0140 0.2707 0.5420  1 Tm 2.23, 3 Y 2.25-2.34
O: 0.0352 0.7609 0.9893  1 Tm 2.21, 3 Y 2.28-2.33
O: 0.0429 0.0112 0.7721  4 Y 2.24-2.33
O: 0.2285 0.7391 0.7743  1 Tm 2.21, 3 Y 2.28-2.33
O: 0.2287 0.4720 0.9580  1 Tm 2.23, 3 Y 2.25-2.34
O: 0.2381 0.5086 0.4682  3 Y 2.24-2.27, 1 Tm 2.31
O: 0.2619 0.7300 0.2705  3 Y 2.24-2.27, 1 Tm 2.31
O: 0.2713 0.2293 0.2433  1 Tm 2.23, 3 Y 2.25-2.34
O: 0.2715 0.0459 0.5107  1 Tm 2.21, 3 Y 2.28-2.33
O: 0.4571 0.2292 0.9683  4 Y 2.24-2.33
O: 0.4648 0.4541 0.7257  1 Tm 2.21, 3 Y 2.28-2.33
O: 0.4860 0.0280 0.2567  1 Tm 2.23, 3 Y 2.25-2.34
O: 0.5098 0.9675 0.7378  4 Y 2.25-2.32
O: 0.5314 0.5422 0.2705  4 Y 2.24-2.33
O: 0.5405 0.7700 0.0318  3 Y 2.24-2.27, 1 Tm 2.31
O: 0.7283 0.9578 0.4892  4 Y 2.24-2.33
O: 0.7296 0.7720 0.7622  4 Y 2.25-2.32
O: 0.7391 0.2708 0.7279  4 Y 2.24-2.33
O: 0.7609 0.4888 0.5317  4 Y 2.24-2.33
O: 0.7704 0.5325 0.0424  4 Y 2.25-2.32
O: 0.7717 0.2609 0.2295  4 Y 2.24-2.33
O: 0.9595 0.9914 0.2295  3 Y 2.24-2.27, 1 Tm 2.31
O: 0.9686 0.2391 0.0108  4 Y 2.24-2.33
O: 0.9902 0.7280 0.4576  4 Y 2.25-2.32

## Properties
Magnetization   0.00 μB/cell
Formation enthalpy at 0 K   -90.333 kcal/mol of atoms

=====

[3]
VASP calculation (r2SCAN) on a relaxed Ba2LiGe3 crystal.

a = 12.5159 Å, b = 10.8029 Å, c = 8.9163 Å
α = 78.15°, β = 57.64°, γ = 44.20°
With the nearest neighbours (Å) after each atom.
Element x y z (fractional)
Ba: 0.0009 0.0009 0.2491  8 Ge 3.52-3.62, 4 Li 3.56
Ba: 0.2491 0.2491 0.0009  8 Ge 3.52-3.62, 4 Li 3.56
Ba: 0.2522 0.2522 0.4978  10 Ge 3.43-3.67, 2 Li 3.58
Ba: 0.4978 0.4978 0.2522  10 Ge 3.43-3.67, 2 Li 3.58
Ba: 0.5022 0.5022 0.7478  10 Ge 3.43-3.67, 2 Li 3.58
Ba: 0.7478 0.7478 0.5022  10 Ge 3.43-3.67, 2 Li 3.58
Ba: 0.7509 0.7509 0.9991  8 Ge 3.52-3.62, 4 Li 3.56
Ba: 0.9991 0.9991 0.7509  8 Ge 3.52-3.62, 4 Li 3.56
Li: 0.0429 0.7071 0.0429  3 Ge 2.61-2.64
Li: 0.2929 0.9571 0.2929  3 Ge 2.61-2.64
Li: 0.7071 0.0429 0.7071  3 Ge 2.61-2.64
Li: 0.9571 0.2929 0.9571  3 Ge 2.61-2.64
Ge: 0.0532 0.7046 0.5340  2 Ge 2.51-2.52, 1 Li 2.64
Ge: 0.2082 0.5340 0.7046  2 Ge 2.51-2.52, 1 Li 2.64
Ge: 0.2120 0.5380 0.2120  2 Ge 2.51, 1 Li 2.61
Ge: 0.2954 0.9468 0.7918  2 Ge 2.51-2.52, 1 Li 2.64
Ge: 0.4620 0.7880 0.4620  2 Ge 2.51, 1 Li 2.61
Ge: 0.4660 0.7918 0.9468  2 Ge 2.51-2.52, 1 Li 2.64
Ge: 0.5340 0.2082 0.0532  2 Ge 2.51-2.52, 1 Li 2.64
Ge: 0.5380 0.2120 0.5380  2 Ge 2.51, 1 Li 2.61
Ge: 0.7046 0.0532 0.2082  2 Ge 2.51-2.52, 1 Li 2.64
Ge: 0.7880 0.4620 0.7880  2 Ge 2.51, 1 Li 2.61
Ge: 0.7918 0.4660 0.2954  2 Ge 2.51-2.52, 1 Li 2.64
Ge: 0.9468 0.2954 0.4660  2 Ge 2.51-2.52, 1 Li 2.64

## Properties
Magnetization   0.00 μB/cell
Formation enthalpy at 0 K   -14.622 kcal/mol of atoms

=====

[4]
VASP calculation (r2SCAN) on a relaxed SrFeF5 crystal.

a = 7.0333 Å, b = 7.2578 Å, c = 14.6724 Å
α = 90.00°, β = 95.14°, γ = 90.00°
With the nearest neighbours (Å) after each atom.
Element x y z (fractional)
Sr: 0.0007 0.1523 0.1385  7 F 2.45-2.67
Sr: 0.0007 0.3477 0.6385  7 F 2.45-2.67
Sr: 0.3110 0.1571 0.4128  8 F 2.49-2.74
Sr: 0.3110 0.3429 0.9128  8 F 2.49-2.74
Sr: 0.6890 0.6571 0.0872  8 F 2.49-2.74
Sr: 0.6890 0.8429 0.5872  8 F 2.49-2.74
Sr: 0.9993 0.6523 0.3615  7 F 2.45-2.67
Sr: 0.9993 0.8477 0.8615  7 F 2.45-2.67
Fe: 0.1888 0.6827 0.1248  6 F 1.91-1.96
Fe: 0.1888 0.8173 0.6248  6 F 1.91-1.96
Fe: 0.4929 0.6195 0.3387  6 F 1.88-2.03
Fe: 0.4929 0.8805 0.8387  6 F 1.88-2.03
Fe: 0.5071 0.1195 0.1613  6 F 1.88-2.03
Fe: 0.5071 0.3805 0.6613  6 F 1.88-2.03
Fe: 0.8112 0.1827 0.3752  6 F 1.91-1.96
Fe: 0.8112 0.3173 0.8752  6 F 1.91-1.96
F: 0.0028 0.0110 0.6087  1 Fe 1.92
F: 0.0028 0.4890 0.1087  1 Fe 1.92
F: 0.0294 0.6891 0.7066  1 Fe 1.95
F: 0.0294 0.8109 0.2066  1 Fe 1.95
F: 0.0408 0.6754 0.5342  1 Fe 1.91
F: 0.0408 0.8246 0.0342  1 Fe 1.91
F: 0.3038 0.0007 0.9061  1 Fe 1.93
F: 0.3038 0.4993 0.4061  1 Fe 1.93
F: 0.3127 0.1595 0.2427  1 Fe 1.92
F: 0.3127 0.3405 0.7427  1 Fe 1.92
F: 0.3145 0.5500 0.2297  2 Fe 1.96-2.01
F: 0.3145 0.9500 0.7297  2 Fe 1.96-2.01
F: 0.3175 0.1963 0.0682  1 Fe 1.90
F: 0.3175 0.3037 0.5682  1 Fe 1.90
F: 0.3436 0.6675 0.8490  1 Fe 1.88
F: 0.3436 0.8325 0.3490  1 Fe 1.88
F: 0.3473 0.5771 0.0397  1 Fe 1.91
F: 0.3473 0.9229 0.5397  1 Fe 1.91
F: 0.3963 0.6379 0.6464  2 Fe 1.96-2.03
F: 0.3963 0.8621 0.1464  2 Fe 1.96-2.03
F: 0.6037 0.1379 0.8536  2 Fe 1.96-2.03
F: 0.6037 0.3621 0.3536  2 Fe 1.96-2.03
F: 0.6527 0.0771 0.4603  1 Fe 1.91
F: 0.6527 0.4229 0.9603  1 Fe 1.91
F: 0.6564 0.1675 0.6510  1 Fe 1.88
F: 0.6564 0.3325 0.1510  1 Fe 1.88
F: 0.6825 0.6963 0.4318  1 Fe 1.90
F: 0.6825 0.8037 0.9318  1 Fe 1.90
F: 0.6855 0.0500 0.2703  2 Fe 1.96-2.01
F: 0.6855 0.4500 0.7703  2 Fe 1.96-2.01
F: 0.6873 0.6595 0.2573  1 Fe 1.92
F: 0.6873 0.8405 0.7573  1 Fe 1.92
F: 0.6962 0.5007 0.5939  1 Fe 1.93
F: 0.6962 0.9993 0.0939  1 Fe 1.93
F: 0.9592 0.1754 0.9658  1 Fe 1.91
F: 0.9592 0.3246 0.4658  1 Fe 1.91
F: 0.9706 0.1891 0.7934  1 Fe 1.95
F: 0.9706 0.3109 0.2934  1 Fe 1.95
F: 0.9972 0.5110 0.8913  1 Fe 1.92
F: 0.9972 0.9890 0.3913  1 Fe 1.92

## Properties
Magnetization   40.00 μB/cell
Formation enthalpy at 0 K   -75.995 kcal/mol of atoms

=====

[5]
VASP calculation (r2SCAN) on a relaxed VPt2 crystal.

a = 4.7940 Å, b = 4.7940 Å, c = 4.7940 Å
α = 147.01°, β = 133.24°, γ = 58.41°
With the nearest neighbours (Å) after each atom.
Element x y z (fractional)
V: 0.0000 0.0000 0.0000  10 Pt 2.70-2.84, 2 V 2.72
Pt: 0.3393 0.3393 0.0000  7 Pt 2.69-2.78, 5 V 2.70-2.84
Pt: 0.6607 0.6607 0.0000  7 Pt 2.69-2.78, 5 V 2.70-2.84

## Properties
Magnetization   0.01 μB/cell
Formation enthalpy at 0 K   -13.867 kcal/mol of atoms

=====

[6]
VASP calculation (r2SCAN) on a relaxed USiIr crystal.

a = 6.9194 Å, b = 4.3060 Å, c = 7.3922 Å
α = 90.00°, β = 90.00°, γ = 90.00°
With the nearest neighbours (Å) after each atom.
Element x y z (fractional)
U: 0.0131 0.2500 0.2042  5 Ir 2.88-3.11, 6 Si 2.97-3.16
U: 0.4869 0.7500 0.7042  5 Ir 2.88-3.11, 6 Si 2.97-3.16
U: 0.5131 0.2500 0.2958  5 Ir 2.88-3.11, 6 Si 2.97-3.16
U: 0.9869 0.7500 0.7958  5 Ir 2.88-3.11, 6 Si 2.97-3.16
Si: 0.1789 0.2500 0.5847  4 Ir 2.52-2.71
Si: 0.3211 0.7500 0.0847  4 Ir 2.52-2.71
Si: 0.6789 0.2500 0.9153  4 Ir 2.52-2.71
Si: 0.8211 0.7500 0.4153  4 Ir 2.52-2.71
Ir: 0.2129 0.7500 0.4116  4 Si 2.52-2.71
Ir: 0.2871 0.2500 0.9116  4 Si 2.52-2.71
Ir: 0.7129 0.7500 0.0884  4 Si 2.52-2.71
Ir: 0.7871 0.2500 0.5884  4 Si 2.52-2.71

## Properties
Magnetization   8.20 μB/cell
Formation enthalpy at 0 K   -20.014 kcal/mol of atoms

=====

[7]
VASP calculation (r2SCAN) on a relaxed RbCuSe4 crystal.

a = 5.5428 Å, b = 8.9214 Å, c = 13.5022 Å
α = 90.00°, β = 90.00°, γ = 90.00°
With the nearest neighbours (Å) after each atom.
Element x y z (fractional)
Rb: 0.1808 0.0596 0.3354  10 Se 3.48-3.90, 1 Cu 3.79
Rb: 0.3192 0.9404 0.8354  10 Se 3.48-3.90, 1 Cu 3.79
Rb: 0.6808 0.4404 0.6646  10 Se 3.48-3.90, 1 Cu 3.79
Rb: 0.8192 0.5596 0.1646  10 Se 3.48-3.90, 1 Cu 3.79
Cu: 0.0329 0.1390 0.0660  4 Se 2.40-2.46
Cu: 0.4671 0.8610 0.5660  4 Se 2.40-2.46
Cu: 0.5329 0.3610 0.9340  4 Se 2.40-2.46
Cu: 0.9671 0.6390 0.4340  4 Se 2.40-2.46
Se: 0.0789 0.5869 0.9306  2 Se 2.37-2.41
Se: 0.1347 0.6958 0.5968  2 Cu 2.40-2.44, 1 Se 2.41
Se: 0.1604 0.3646 0.8347  2 Se 2.41, 1 Cu 2.46
Se: 0.1603 0.8855 0.0989  1 Se 2.37, 1 Cu 2.41
Se: 0.3397 0.1145 0.5989  1 Se 2.37, 1 Cu 2.41
Se: 0.3396 0.6354 0.3347  2 Se 2.41, 1 Cu 2.46
Se: 0.3653 0.3042 0.0968  2 Cu 2.40-2.44, 1 Se 2.41
Se: 0.4211 0.4131 0.4306  2 Se 2.37-2.41
Se: 0.5789 0.9131 0.0694  2 Se 2.37-2.41
Se: 0.6347 0.8042 0.4032  2 Cu 2.40-2.44, 1 Se 2.41
Se: 0.6604 0.1354 0.1653  2 Se 2.41, 1 Cu 2.46
Se: 0.6603 0.6145 0.9011  1 Se 2.37, 1 Cu 2.41
Se: 0.8397 0.3855 0.4011  1 Se 2.37, 1 Cu 2.41
Se: 0.8396 0.8646 0.6653  2 Se 2.41, 1 Cu 2.46
Se: 0.8653 0.1958 0.9032  2 Cu 2.40-2.44, 1 Se 2.41
Se: 0.9211 0.0869 0.5694  2 Se 2.37-2.41

## Properties
Magnetization   0.00 μB/cell
Formation enthalpy at 0 K   -11.309 kcal/mol of atoms

=====

no.,V (Å³ per cell)
1,626.6
2,592.0
3,676.7
4,746.0
5,43.3
6,220.2
7,667.7